Record 1
# Tb3Mg GGA-PBE optimized geometry
# formation energy from the elements: 0.010 eV/atom
# E_tot: -3.8662 eV per atom
data_Tb3Mg
_chemical_formula_sum 'Tb6 Mg2'
_symmetry_space_group_name_H-M 'P 63/m m c'
_symmetry_Int_Tables_number 194
_symmetry_space_group_name_Hall '-P 6c 2c'
_cell_length_a 7.0488
_cell_length_b 7.0488
_cell_length_c 5.5577
_cell_angle_alpha 90.00
_cell_angle_beta 90.00
_cell_angle_gamma 120.00
loop_
_atom_site_label
_atom_site_fract_x
_atom_site_fract_y
_atom_site_fract_z
Tb1 0.1708 0.3416 0.2500
Mg1 0.3333 0.6667 0.7500

Record 2
# Na4Ga4Si19 GGA-PBE optimized geometry
# M_tot: 0.001 μB/f.u.
# formation energy from the elements: 0.024 eV/atom
# E_tot: -4.4888 eV per atom
data_Na4Ga4Si19
_chemical_formula_sum 'Na8 Ga8 Si38'
_symmetry_space_group_name_H-M 'P 1'
_symmetry_Int_Tables_number 1
_cell_length_a 10.3764
_cell_length_b 10.3943
_cell_length_c 10.4081
_cell_angle_alpha 89.97
_cell_angle_beta 89.83
_cell_angle_gamma 89.85
loop_
_symmetry_equiv_pos_as_xyz
'x,y,z'
loop_
_atom_site_label
_atom_site_fract_x
_atom_site_fract_y
_atom_site_fract_z
Na1 0.0000 0.0000 0.0000
Na2 0.0002 0.0008 0.5021
Na3 0.0014 0.4992 0.2501
Na4 0.2509 0.4984 0.7511
Na5 0.5010 0.2499 0.2509
Na6 0.5006 0.7493 0.2519
Na7 0.5018 0.0012 0.7497
Na8 0.7505 0.4989 0.7513
Ga1 0.0004 0.7493 0.7517
Ga2 0.0008 0.3827 0.9422
Ga3 0.3098 0.5002 0.3675
Ga4 0.3835 0.9991 0.4417
Ga5 0.5005 0.4995 0.0007
Ga6 0.5008 0.3087 0.6340
Ga7 0.7523 0.9993 0.2510
Ga8 0.8102 0.1167 0.7508
Si1 0.0004 0.3801 0.5562
Si2 0.0004 0.6148 0.5554
Si3 0.0012 0.6193 0.9466
Si4 0.0043 0.2506 0.7481
Si5 0.1190 0.1932 0.2503
Si6 0.1189 0.8064 0.2510
Si7 0.1830 0.3119 0.4356
Si8 0.1827 0.6865 0.4370
Si9 0.1843 0.6830 0.0668
Si10 0.1881 0.3155 0.0685
Si11 0.1948 0.1188 0.7513
Si12 0.1961 0.8846 0.7518
Si13 0.2480 0.9993 0.2470
Si14 0.3057 0.4998 0.1324
Si15 0.3122 0.1846 0.5677
Si16 0.3148 0.8135 0.5691
Si17 0.3168 0.8158 0.9341
Si18 0.3179 0.1835 0.9360
Si19 0.3812 0.9987 0.0565
Si20 0.5009 0.3044 0.8704
Si21 0.5010 0.6938 0.6318
Si22 0.5011 0.6949 0.8655
Si23 0.5047 0.5037 0.5009
Si24 0.6158 0.9988 0.0565
Si25 0.6204 0.9993 0.4449
Si26 0.6818 0.1836 0.9396
Si27 0.6837 0.8156 0.9338
Si28 0.6852 0.8168 0.5676
Si29 0.6867 0.1819 0.5623
Si30 0.6954 0.5010 0.3697
Si31 0.6957 0.5007 0.1367
Si32 0.8053 0.8803 0.7509
Si33 0.8130 0.3157 0.0696
Si34 0.8168 0.3149 0.4338
Si35 0.8178 0.6834 0.4349
Si36 0.8179 0.6836 0.0681
Si37 0.8855 0.1955 0.2499
Si38 0.8859 0.8037 0.2507

Which value of E_tot does entry 2 give? -4.4888 eV per atom

What is the E_tot in the second record? -4.4888 eV per atom

Which of these has the highest formation energy from the elements? Na4Ga4Si19